No. 1
Te4Mo3WS4 | PBE-GGA | relaxed

Unit cell a=3.361 b=3.361 c=39.839 alpha=90.00 beta=90.00 gamma=120.00
Atoms (fractional coordinates):
Te: 0.000 0.000 0.707
Te: 0.333 0.667 0.420
Te: 0.333 0.667 0.516
Te: 0.000 0.000 0.612
Mo: 0.000 0.000 0.094
Mo: 0.333 0.667 0.282
Mo: 0.333 0.667 0.659
W: 0.000 0.000 0.468
S: 0.000 0.000 0.320
S: 0.333 0.667 0.056
S: 0.333 0.667 0.132
S: 0.000 0.000 0.244

Summary:
For the energy above the most stable polymorph in this dataset, the calculation gives 0.444 eV per formula unit. For the density, the calculation gives 4.73 g/cm3. The formation energy comes out at -0.61 eV/atom.

=====

No. 2
Th2Mo15S20 | PBE-GGA | relaxed

Unit cell a=9.301 b=11.207 c=14.461 alpha=105.14 beta=107.36 gamma=90.85
Atoms (fractional coordinates):
Th: 0.900 0.600 0.802
Th: 0.300 0.199 0.600
Th: 0.700 0.801 0.400
Th: 0.100 0.400 0.198
Mo: 0.551 0.387 0.082
Mo: 0.951 0.989 0.882
Mo: 0.349 0.588 0.682
Mo: 0.749 0.188 0.481
Mo: 0.149 0.789 0.282
Mo: 0.645 0.434 0.935
Mo: 0.047 0.034 0.737
Mo: 0.445 0.635 0.536
Mo: 0.845 0.235 0.335
Mo: 0.249 0.835 0.136
Mo: 0.654 0.619 0.099
Mo: 0.058 0.217 0.900
Mo: 0.458 0.820 0.701
Mo: 0.856 0.419 0.499
Mo: 0.256 0.020 0.300
Mo: 0.449 0.613 0.918
Mo: 0.851 0.211 0.718
Mo: 0.251 0.812 0.519
Mo: 0.651 0.412 0.318
Mo: 0.049 0.011 0.118
Mo: 0.355 0.566 0.065
Mo: 0.751 0.165 0.864
Mo: 0.155 0.765 0.665
Mo: 0.555 0.365 0.464
Mo: 0.953 0.966 0.263
Mo: 0.346 0.381 0.901
Mo: 0.744 0.980 0.700
Mo: 0.144 0.581 0.501
Mo: 0.542 0.180 0.299
Mo: 0.942 0.783 0.100
S: 0.721 0.024 0.325
S: 0.122 0.623 0.127
S: 0.528 0.229 0.928
S: 0.922 0.823 0.727
S: 0.322 0.423 0.526
S: 0.925 0.448 0.347
S: 0.325 0.047 0.153
S: 0.723 0.651 0.947
S: 0.125 0.248 0.747
S: 0.524 0.848 0.546
S: 0.751 0.379 0.626
S: 0.150 0.979 0.426
S: 0.551 0.580 0.227
S: 0.947 0.179 0.025
S: 0.352 0.773 0.822
S: 0.678 0.577 0.474
S: 0.078 0.177 0.273
S: 0.472 0.771 0.072
S: 0.878 0.377 0.873
S: 0.279 0.976 0.675
S: 0.476 0.152 0.454
S: 0.875 0.752 0.253
S: 0.277 0.349 0.053
S: 0.675 0.953 0.847
S: 0.075 0.552 0.653
S: 0.648 0.227 0.178
S: 0.053 0.821 0.975
S: 0.449 0.420 0.773
S: 0.850 0.021 0.574
S: 0.249 0.621 0.374
S: 0.009 0.248 0.503
S: 0.410 0.849 0.304
S: 0.810 0.447 0.102
S: 0.213 0.049 0.904
S: 0.610 0.648 0.704
S: 0.390 0.352 0.296
S: 0.787 0.951 0.096
S: 0.190 0.553 0.898
S: 0.590 0.151 0.696
S: 0.991 0.752 0.497

Summary:
For the density, the calculation gives 6.12 g/cm3. The formation energy comes out at -1.15 eV/atom.

=====

No. 3
Th2Mo15S20 | PBE-GGA | relaxed

Unit cell a=6.518 b=65.102 c=9.289 alpha=44.59 beta=88.68 gamma=89.00
Atoms (fractional coordinates):
Th: 0.000 0.100 0.000
Th: 0.999 0.399 0.004
Th: 0.000 0.500 0.000
Th: 0.000 0.700 0.000
Th: 0.001 0.801 0.996
Th: 0.000 0.901 0.995
Th: 0.000 0.299 0.005
Th: 0.000 0.600 0.000
Mo: 0.213 0.085 0.565
Mo: 0.225 0.186 0.561
Mo: 0.224 0.286 0.562
Mo: 0.224 0.386 0.562
Mo: 0.224 0.486 0.562
Mo: 0.224 0.586 0.562
Mo: 0.225 0.686 0.562
Mo: 0.225 0.786 0.562
Mo: 0.222 0.886 0.564
Mo: 0.414 0.034 0.219
Mo: 0.225 0.986 0.560
Mo: 0.420 0.134 0.223
Mo: 0.445 0.020 0.580
Mo: 0.415 0.234 0.219
Mo: 0.434 0.119 0.585
Mo: 0.421 0.334 0.225
Mo: 0.444 0.219 0.582
Mo: 0.421 0.434 0.224
Mo: 0.438 0.320 0.579
Mo: 0.421 0.534 0.224
Mo: 0.438 0.420 0.578
Mo: 0.421 0.634 0.225
Mo: 0.438 0.520 0.578
Mo: 0.421 0.734 0.225
Mo: 0.438 0.620 0.578
Mo: 0.566 0.081 0.415
Mo: 0.420 0.834 0.225
Mo: 0.438 0.720 0.579
Mo: 0.555 0.180 0.420
Mo: 0.417 0.934 0.224
Mo: 0.580 0.066 0.777
Mo: 0.438 0.820 0.579
Mo: 0.568 0.280 0.419
Mo: 0.586 0.166 0.781
Mo: 0.432 0.920 0.581
Mo: 0.562 0.380 0.421
Mo: 0.583 0.266 0.776
Mo: 0.562 0.480 0.421
Mo: 0.580 0.366 0.775
Mo: 0.562 0.580 0.422
Mo: 0.579 0.466 0.775
Mo: 0.562 0.680 0.422
Mo: 0.579 0.566 0.775
Mo: 0.562 0.780 0.422
Mo: 0.579 0.666 0.776
Mo: 0.562 0.880 0.421
Mo: 0.579 0.766 0.776
Mo: 0.556 0.981 0.418
Mo: 0.579 0.866 0.775
Mo: 0.775 0.014 0.439
Mo: 0.585 0.966 0.781
Mo: 0.787 0.115 0.435
Mo: 0.775 0.214 0.440
Mo: 0.778 0.314 0.436
Mo: 0.775 0.414 0.438
Mo: 0.775 0.514 0.438
Mo: 0.776 0.614 0.438
Mo: 0.776 0.714 0.438
Mo: 0.776 0.814 0.438
Mo: 0.776 0.914 0.438
S: 0.126 0.038 0.376
S: 0.131 0.135 0.380
S: 0.127 0.238 0.377
S: 0.128 0.339 0.369
S: 0.128 0.439 0.368
S: 0.128 0.539 0.368
S: 0.128 0.639 0.368
S: 0.240 0.100 0.242
S: 0.128 0.739 0.368
S: 0.235 0.201 0.234
S: 0.238 0.075 0.875
S: 0.128 0.838 0.369
S: 0.242 0.300 0.242
S: 0.265 0.175 0.874
S: 0.126 0.937 0.375
S: 0.241 0.400 0.241
S: 0.244 0.276 0.871
S: 0.241 0.500 0.241
S: 0.247 0.376 0.872
S: 0.241 0.600 0.242
S: 0.247 0.476 0.872
S: 0.241 0.700 0.242
S: 0.247 0.576 0.872
S: 0.383 0.039 0.739
S: 0.241 0.800 0.242
S: 0.247 0.676 0.872
S: 0.372 0.137 0.755
S: 0.242 0.900 0.243
S: 0.247 0.776 0.872
S: 0.380 0.239 0.740
S: 0.236 0.001 0.234
S: 0.245 0.875 0.876
S: 0.369 0.337 0.753
S: 0.264 0.975 0.873
S: 0.368 0.437 0.753
S: 0.368 0.537 0.753
S: 0.368 0.637 0.753
S: 0.369 0.737 0.753
S: 0.372 0.837 0.754
S: 0.371 0.937 0.757
S: 0.628 0.063 0.245
S: 0.617 0.161 0.261
S: 0.629 0.263 0.243
S: 0.628 0.363 0.246
S: 0.631 0.463 0.247
S: 0.632 0.563 0.247
S: 0.735 0.025 0.126
S: 0.632 0.663 0.247
S: 0.762 0.125 0.125
S: 0.765 0.999 0.766
S: 0.632 0.763 0.247
S: 0.736 0.225 0.127
S: 0.760 0.100 0.758
S: 0.631 0.863 0.247
S: 0.755 0.325 0.124
S: 0.764 0.199 0.766
S: 0.620 0.961 0.260
S: 0.753 0.424 0.128
S: 0.758 0.300 0.757
S: 0.753 0.524 0.128
S: 0.759 0.400 0.758
S: 0.753 0.624 0.128
S: 0.759 0.500 0.758
S: 0.753 0.724 0.128
S: 0.759 0.600 0.758
S: 0.869 0.065 0.620
S: 0.753 0.824 0.128
S: 0.759 0.700 0.759
S: 0.874 0.162 0.624
S: 0.756 0.924 0.129
S: 0.759 0.800 0.759
S: 0.874 0.263 0.625
S: 0.758 0.900 0.758
S: 0.872 0.362 0.631
S: 0.872 0.461 0.632
S: 0.872 0.561 0.632
S: 0.872 0.661 0.632
S: 0.872 0.761 0.632
S: 0.872 0.861 0.631
S: 0.873 0.962 0.623

Summary:
For the density, the calculation gives 6.11 g/cm3. The formation energy comes out at -1.15 eV/atom.